(1)
Density functional theory data (PBE) for Rb2S2O7 after structural relaxation.

Volume, Å³/atom: 17.476
Energy of formation, eV/atom: -2.11
E above lowest polymorph, meV per atom: 4
Calculated total energy, eV for the cell shown: -126.6

a b c (Å): 7.5226 7.5226 7.7628
angles (deg): 94.57 94.57 61.52
With the nearest neighbours (Å) after each atom.
Sites, in units of the cell vectors:
Rb  0.0081  0.7051  0.6508  8 O 2.96-3.25
Rb  0.2949  0.9919  0.8492  8 O 2.96-3.25
Rb  0.7051  0.0081  0.1508  8 O 2.96-3.25
Rb  0.9919  0.2949  0.3492  8 O 2.96-3.25
S  0.2175  0.5797  0.1438  3 O 1.45-1.46
S  0.4203  0.7825  0.3562  3 O 1.45-1.46
S  0.5797  0.2175  0.6438  3 O 1.45-1.46
S  0.7825  0.4203  0.8562  3 O 1.45-1.46
O  0.0678  0.6321  0.2743  1 S 1.46
O  0.1503  0.7329  0.0143  1 S 1.46
O  0.2671  0.8497  0.4857  1 S 1.46
O  0.3019  0.3719  0.0748  1 S 1.45
O  0.3679  0.9322  0.2257  1 S 1.46
O  0.3719  0.3019  0.5748  1 S 1.45
O  0.4222  0.5778  0.2500  2 S 1.68
O  0.5778  0.4222  0.7500  2 S 1.68
O  0.6281  0.6981  0.4252  1 S 1.45
O  0.6321  0.0678  0.7743  1 S 1.46
O  0.6981  0.6281  0.9252  1 S 1.45
O  0.7329  0.1503  0.5143  1 S 1.46
O  0.8497  0.2671  0.9857  1 S 1.46
O  0.9322  0.3679  0.7257  1 S 1.46


(2)
Density functional theory data (PBE) for Li2HgO2 after structural relaxation.

Volume, Å³/atom: 12.201
Energy of formation, eV/atom: -1.50
Calculated total energy, eV for the cell shown: -20.2

a b c (Å): 6.7621 6.7621 6.7621
angles (deg): 153.61 153.61 37.67
With the nearest neighbours (Å) after each atom.
Sites, in units of the cell vectors:
Li  0.1873  0.1873  0.0000  5 O 1.98-2.22
Li  0.8127  0.8127  0.0000  5 O 1.98-2.22
Hg  0.5000  0.5000  0.0000  2 O 2.02
O  0.3420  0.3420  0.0000  5 Li 1.98-2.22, 1 Hg 2.02
O  0.6580  0.6580  0.0000  5 Li 1.98-2.22, 1 Hg 2.02


(3)
Density functional theory data (PBE) for TbBiRh after structural relaxation.

Volume, Å³/atom: 22.865
Energy of formation, eV/atom: -0.75
Calculated total energy, eV for the cell shown: -54.4

a b c (Å): 7.7089 7.7089 3.9985
angles (deg): 90.00 90.00 120.00
With the nearest neighbours (Å) after each atom.
Sites, in units of the cell vectors:
Tb  0.0000  0.5977  0.0000  5 Rh 3.08-3.10, 6 Bi 3.26-3.38
Tb  0.4023  0.4023  0.0000  5 Rh 3.08-3.10, 6 Bi 3.26-3.38
Tb  0.5977  0.0000  0.0000  5 Rh 3.08-3.10, 6 Bi 3.26-3.38
Bi  0.0000  0.2638  0.5000  4 Rh 2.85-2.88
Bi  0.2638  0.0000  0.5000  4 Rh 2.85-2.88
Bi  0.7362  0.7362  0.5000  4 Rh 2.85-2.88
Rh  0.0000  0.0000  0.0000  6 Bi 2.85, 3 Tb 3.10
Rh  0.3333  0.6667  0.5000  3 Bi 2.88, 6 Tb 3.08
Rh  0.6667  0.3333  0.5000  3 Bi 2.88, 6 Tb 3.08


(4)
Density functional theory data (PBE) for NdAl3 after structural relaxation.

Volume, Å³/atom: 21.186
Energy of formation, eV/atom: -0.44
Calculated total energy, eV for the cell shown: -35.5

a b c (Å): 6.4798 6.4798 4.6610
angles (deg): 90.00 90.00 120.00
With the nearest neighbours (Å) after each atom.
Sites, in units of the cell vectors:
Nd  0.3333  0.6667  0.2500  12 Al 3.17-3.25
Nd  0.6667  0.3333  0.7500  12 Al 3.17-3.25
Al  0.1414  0.2827  0.7500  6 Al 2.75-2.82
Al  0.1414  0.8586  0.7500  6 Al 2.75-2.82
Al  0.2827  0.1414  0.2500  6 Al 2.75-2.82
Al  0.7173  0.8586  0.7500  6 Al 2.75-2.82
Al  0.8586  0.1414  0.2500  6 Al 2.75-2.82
Al  0.8586  0.7173  0.2500  6 Al 2.75-2.82